No. 1
Entry from Materials Project: a relaxed structure of V7O6F9 (GGA+U).

POSCAR file:
```
V7O6F9
1.0
-1.8688 -8.8452 -4.1617
17.8077 -2.7598 -2.1307
0.9080 -2.2908 4.4610
V O F
28 24 36
direct
0.1486 0.0716 0.6869
0.1481 0.9291 0.2572
0.1467 0.3478 0.5631
0.1422 0.6536 0.3811
0.1447 0.4918 0.0462
0.1497 0.2103 0.1864
0.1484 0.7912 0.8942
0.3503 0.7897 0.3968
0.3516 0.2088 0.6854
0.3553 0.5082 0.5379
0.3578 0.3464 0.0348
0.3533 0.6522 0.9109
0.3514 0.9284 0.7585
0.3519 0.0709 0.1863
0.6481 0.0709 0.6863
0.6486 0.9284 0.2585
0.6422 0.3464 0.5348
0.6467 0.6522 0.4109
0.6447 0.5082 0.0379
0.6497 0.7897 0.8968
0.6484 0.2088 0.1854
0.8516 0.7912 0.3942
0.8503 0.2103 0.6864
0.8553 0.4918 0.5462
0.8578 0.6536 0.8811
0.8533 0.3478 0.0631
0.8514 0.0716 0.1869
0.8519 0.9291 0.7572
0.2362 0.4283 0.7922
0.2305 0.1423 0.9434
0.2304 0.8565 0.5844
0.2306 0.2824 0.8637
0.2318 0.7121 0.6505
0.2500 0.0000 0.4695
0.2500 0.0000 0.9680
0.2682 0.2879 0.3626
0.2694 0.7176 0.1462
0.2695 0.8577 0.0858
0.2696 0.1435 0.4409
0.2638 0.5717 0.2205
0.7362 0.5717 0.7205
0.7305 0.8577 0.5858
0.7304 0.1435 0.9409
0.7306 0.7176 0.6462
0.7318 0.2879 0.8626
0.7500 0.0000 0.4680
0.7500 0.0000 0.9695
0.7694 0.2824 0.3637
0.7682 0.7121 0.1505
0.7695 0.1423 0.4434
0.7696 0.8565 0.0844
0.7638 0.4283 0.2922
0.0016 0.0020 0.1485
0.9984 0.0020 0.6485
0.0255 0.1261 0.3441
0.0270 0.8785 0.9622
0.0302 0.2566 0.5081
0.0346 0.7525 0.2534
0.0466 0.3848 0.1979
0.0330 0.6289 0.0640
0.0356 0.5042 0.3799
0.2153 0.5696 0.7278
0.2847 0.4304 0.2974
0.4644 0.4958 0.8840
0.4670 0.3711 0.6929
0.4534 0.6152 0.5827
0.4654 0.2475 0.0058
0.4698 0.7434 0.7647
0.4730 0.1215 0.8408
0.4745 0.8739 0.4702
0.4984 0.9980 0.1505
0.5016 0.9980 0.6505
0.5255 0.8739 0.9702
0.5270 0.1215 0.3408
0.5302 0.7434 0.2647
0.5346 0.2475 0.5058
0.5466 0.6152 0.0827
0.5330 0.3711 0.1929
0.5356 0.4958 0.3840
0.7153 0.4304 0.7974
0.7847 0.5696 0.2278
0.9644 0.5042 0.8799
0.9670 0.6289 0.5640
0.9534 0.3848 0.6979
0.9698 0.2566 0.0081
0.9654 0.7525 0.7534
0.9730 0.8785 0.4622
0.9745 0.1261 0.8441
```

Results
DFT formation energy in meV/atom: -2833
V in Å³/atom: 10.36
VASP energy in eV per atom: -6.94
Space group: Aea2
Spin magnetization in μB/f.u.: 14.00

---

No. 2
Entry from Materials Project: a relaxed structure of V2OF5 (GGA+U).

POSCAR file:
```
V2OF5
1.0
3.7621 -3.4585 -0.9530
-4.4192 1.9792 -10.4180
3.2406 3.9938 -1.7034
V O F
6 3 15
direct
0.8302 0.6632 0.1689
0.6691 0.3143 0.3429
0.4883 0.9907 0.5048
0.3312 0.6751 0.6623
0.0003 0.0035 0.9978
0.1880 0.3523 0.8238
0.6664 0.1676 0.4159
0.3318 0.4992 0.7508
0.3384 0.8334 0.5834
0.9883 0.1725 0.9136
0.9827 0.3671 0.1182
0.8808 0.3666 0.6170
0.6494 0.4943 0.2531
0.7885 0.9684 0.7161
0.4492 0.2996 0.0484
0.6535 0.6984 0.4501
0.3172 0.0356 0.7835
0.6848 0.9671 0.2141
0.2134 0.0345 0.2832
0.5511 0.6998 0.9524
0.3476 0.3001 0.5495
0.1150 0.6311 0.3831
0.0121 0.6323 0.8836
0.0225 0.8333 0.0835
```

Results
DFT formation energy in meV/atom: -3023
V in Å³/atom: 12.90
VASP energy in eV per atom: -6.31
Space group: P1
Spin magnetization in μB/f.u.: 3.00

---

No. 3
Entry from Materials Project: a relaxed structure of VOF2 (GGA+U).

POSCAR file:
```
VOF2
1.0
-0.8333 -4.9255 -1.2769
3.7229 0.5227 -3.8133
6.8638 -0.9916 9.5498
V O F
6 6 12
direct
0.1418 0.1993 0.3302
0.3659 0.3026 0.6611
0.5000 0.5000 0.0000
0.6341 0.6974 0.3389
0.0000 0.0000 0.0000
0.8582 0.8007 0.6698
0.6058 0.1139 0.6374
0.7844 0.7373 0.0217
0.9559 0.4421 0.3118
0.2156 0.2627 0.9783
0.0441 0.5579 0.6882
0.3942 0.8861 0.3626
0.8085 0.9239 0.8315
0.5067 0.6149 0.6251
0.5129 0.4214 0.8316
0.1457 0.2232 0.4993
0.1423 0.0688 0.7122
0.2587 0.7608 0.9581
0.7413 0.2392 0.0419
0.8577 0.9312 0.2878
0.8543 0.7768 0.5007
0.4871 0.5786 0.1684
0.4933 0.3851 0.3749
0.1915 0.0761 0.1685
```

Results
DFT formation energy in meV/atom: -2826
V in Å³/atom: 13.01
VASP energy in eV per atom: -6.46
Space group: P-1
Spin magnetization in μB/f.u.: 1.00

---

No. 4
Entry from Materials Project: a relaxed structure of V6O7F5 (GGA+U).

POSCAR file:
```
V6O7F5
1.0
-4.8068 -0.5992 -2.8396
-3.0597 -3.9817 2.5444
-5.3173 3.3357 3.9041
V O F
6 7 5
direct
0.6865 0.6798 0.8379
0.3341 0.3386 0.6701
0.6881 0.6164 0.3142
0.3377 0.3299 0.1577
0.9816 0.9892 0.5127
0.9797 0.0315 0.0039
0.0459 0.6397 0.6643
0.2264 0.2312 0.9669
0.7681 0.7683 0.0453
0.4402 0.4372 0.3633
0.6352 0.0323 0.6687
0.9702 0.3533 0.3354
0.6849 0.3195 0.9957
0.3698 0.9522 0.3378
0.5779 0.5737 0.6218
0.8849 0.8900 0.3046
0.0956 0.1054 0.7032
0.2933 0.7117 0.9967
```

Results
DFT formation energy in meV/atom: -2756
V in Å³/atom: 11.42
VASP energy in eV per atom: -7.28
Space group: P1
Spin magnetization in μB/f.u.: 11.00